Material: MgZn2Fe4O8
Method: DFT, PBE+U
State: optimized geometry

Unit cell a=2.9849 b=8.0443 c=8.0833 alpha=64.05 beta=79.38 gamma=79.33
With the nearest neighbours (Å) after each atom.
Fractional coordinates of all 15 atoms:
Mg  0.4997  0.9886  0.0162  6 O 2.18-2.20
Zn  0.2903  0.1559  0.2642  5 O 2.07-2.15
Zn  0.7053  0.8217  0.7680  5 O 2.07-2.14
Fe  0.5820  0.2160  0.6186  3 O 1.99-2.09
Fe  0.1483  0.5274  0.1768  6 O 2.00-2.13
Fe  0.8475  0.4501  0.8554  6 O 2.00-2.13
Fe  0.4115  0.7616  0.4137  3 O 1.99-2.09
O  0.8594  0.6829  0.5970  3 Fe 1.99-2.11, 1 Zn 2.07
O  0.4348  0.2877  0.8433  3 Fe 2.00-2.09, 1 Mg 2.18
O  0.5614  0.6898  0.1890  3 Fe 2.00-2.09, 1 Mg 2.18
O  0.1345  0.2947  0.4352  3 Fe 1.99-2.11, 1 Zn 2.07
O  0.0986  0.9933  0.8117  2 Zn 2.14, 2 Mg 2.19-2.20, 2 Fe 2.33
O  0.7543  0.3578  0.1333  3 Fe 2.02-2.13, 2 Zn 2.11-2.12
O  0.8999  0.9840  0.2207  2 Zn 2.14-2.15, 2 Mg 2.20, 2 Fe 2.32-2.33
O  0.2408  0.6196  0.8989  3 Fe 2.02-2.13, 2 Zn 2.11-2.12

Results
Distance to the lowest polymorph of the same formula   45 meV/atom


Material: MgZn2Fe4O8
Method: DFT, PBE+U
State: optimized geometry

Unit cell a=6.7151 b=6.7151 c=5.9673 alpha=63.62 beta=63.62 gamma=52.31
With the nearest neighbours (Å) after each atom.
Fractional coordinates of all 15 atoms:
Mg  0.7479  0.7479  0.7521  4 O 2.01-2.04
Zn  0.1841  0.6744  0.5707  5 O 2.08-2.14
Zn  0.6744  0.1841  0.5707  5 O 2.08-2.14
Fe  0.9961  0.9961  0.0039  4 O 1.95-1.97
Fe  0.2539  0.2539  0.2461  4 O 1.97-2.01
Fe  0.5774  0.5774  0.1849  5 O 2.09-2.14
Fe  0.5774  0.5774  0.6604  5 O 2.09-2.14
O  0.3727  0.3727  0.3825  2 Fe 1.97-2.14, 2 Zn 2.14
O  0.3727  0.3727  0.8720  2 Fe 1.97-2.14, 2 Zn 2.14
O  0.3864  0.8712  0.3712  3 Fe 2.01-2.09, 1 Zn 2.09
O  0.8712  0.3864  0.3712  3 Fe 2.01-2.09, 1 Zn 2.09
O  0.3713  0.8379  0.8954  3 Fe 1.95-2.11, 1 Mg 2.04
O  0.8379  0.3713  0.8954  3 Fe 1.95-2.11, 1 Mg 2.04
O  0.8883  0.8883  0.3826  1 Fe 1.97, 1 Mg 2.01, 2 Zn 2.08
O  0.8883  0.8883  0.8408  1 Fe 1.97, 1 Mg 2.01, 2 Zn 2.08

Results
Distance to the lowest polymorph of the same formula   270 meV/atom


Material: MgZn2Fe4O8
Method: DFT, PBE+U
State: optimized geometry

Unit cell a=3.0906 b=8.3351 c=8.0336 alpha=62.63 beta=78.98 gamma=84.57
With the nearest neighbours (Å) after each atom.
Fractional coordinates of all 15 atoms:
Mg  0.8866  0.0515  0.4950  4 O 2.01-2.13
Zn  0.4642  0.1665  0.1125  4 O 1.95-2.00
Zn  0.6630  0.8397  0.8914  4 O 2.01-2.07
Fe  0.2539  0.2747  0.6456  4 O 1.99-2.19
Fe  0.1784  0.4927  0.2042  5 O 2.03-2.24
Fe  0.9819  0.4845  0.8458  5 O 1.98-2.13
Fe  0.5975  0.7268  0.3981  4 O 1.90-1.94
O  0.0578  0.6134  0.5514  3 Fe 1.91-2.07
O  0.5733  0.3005  0.8319  1 Zn 1.98, 2 Fe 2.04-2.13
O  0.6399  0.6994  0.1735  1 Fe 1.90, 1 Zn 2.01
O  0.8735  0.3069  0.4591  3 Fe 1.99-2.15, 1 Mg 2.01
O  0.2136  0.9861  0.7276  2 Zn 2.01-2.04, 1 Mg 2.12, 1 Fe 2.19
O  0.9207  0.3144  0.1212  2 Fe 1.99-2.15, 2 Zn 1.99-2.00
O  0.4774  0.9696  0.3675  1 Fe 1.93, 1 Zn 1.95, 2 Mg 2.10-2.13
O  0.4367  0.6127  0.8925  2 Fe 1.98-2.03, 1 Zn 2.07

Results
Distance to the lowest polymorph of the same formula   32 meV/atom


Material: MgZn2Fe4O8
Method: DFT, PBE+U
State: optimized geometry

Unit cell a=6.5855 b=6.5855 c=5.8592 alpha=63.59 beta=63.59 gamma=54.19
With the nearest neighbours (Å) after each atom.
Fractional coordinates of all 15 atoms:
Mg  0.4639  0.4639  0.0361  4 O 1.95
Zn  0.1656  0.6402  0.5971  5 O 2.08-2.15
Zn  0.6402  0.1656  0.5971  5 O 2.08-2.15
Fe  0.0082  0.0082  0.9918  4 O 1.90-1.97
Fe  0.2038  0.2038  0.2962  4 O 1.89-2.00
Fe  0.6884  0.6884  0.0716  5 O 2.00-2.22
Fe  0.6884  0.6884  0.5516  5 O 2.00-2.22
O  0.3375  0.3375  0.4125  1 Mg 1.95, 1 Fe 2.00, 2 Zn 2.15
O  0.3375  0.3375  0.9125  1 Mg 1.95, 1 Fe 2.00, 2 Zn 2.15
O  0.3775  0.8373  0.3926  1 Fe 1.89, 1 Zn 2.08
O  0.8373  0.3775  0.3926  1 Fe 1.89, 1 Zn 2.08
O  0.3761  0.8279  0.8980  1 Fe 1.90, 1 Mg 1.95
O  0.8279  0.3761  0.8980  1 Fe 1.90, 1 Mg 1.95
O  0.8850  0.8850  0.3743  2 Fe 1.97-2.00, 2 Zn 2.12
O  0.8850  0.8850  0.8557  2 Fe 1.97-2.00, 2 Zn 2.12

Results
Distance to the lowest polymorph of the same formula   80 meV/atom


Material: Na7Mn4Fe8P12O48
Method: DFT, PBE+U
State: optimized geometry

Unit cell a=9.3419 b=9.3419 c=12.0859 alpha=68.99 beta=68.99 gamma=85.63
With the nearest neighbours (Å) after each atom.
Fractional coordinates of all 79 atoms:
Na  0.2493  0.0012  0.8742  6 O 2.36-2.61
Na  0.7503  0.4994  0.3764  6 O 2.34-2.59
Na  0.9988  0.7507  0.1258  6 O 2.36-2.61
Na  0.5006  0.2497  0.6236  6 O 2.34-2.59
Na  0.1103  0.8897  0.5000  4 O 2.41-2.60
Na  0.8785  0.6054  0.7581  4 O 2.43-2.63
Na  0.3946  0.1215  0.2419  4 O 2.43-2.63
Mn  0.8890  0.1110  0.0000  6 O 2.24-2.28
Mn  0.3937  0.6063  0.5000  6 O 2.19-2.29
Mn  0.6038  0.8918  0.7489  6 O 2.20-2.32
Mn  0.1082  0.3962  0.2511  6 O 2.20-2.32
Fe  0.2247  0.6612  0.7782  5 O 1.99-2.16
Fe  0.7252  0.1569  0.2814  6 O 1.98-2.11
Fe  0.3388  0.7753  0.2218  5 O 1.99-2.16
Fe  0.8431  0.2748  0.7186  6 O 1.98-2.11
Fe  0.2830  0.3419  0.9697  5 O 1.98-2.05
Fe  0.7729  0.8398  0.4708  6 O 2.03-2.21
Fe  0.1602  0.2271  0.5292  6 O 2.03-2.21
Fe  0.6581  0.7170  0.0303  5 O 1.98-2.05
P  0.0790  0.0478  0.1978  4 O 1.54-1.58
P  0.5804  0.5413  0.7019  4 O 1.54-1.57
P  0.9522  0.9210  0.8022  4 O 1.54-1.58
P  0.4587  0.4196  0.2981  4 O 1.54-1.57
P  0.4213  0.9568  0.5451  4 O 1.54-1.58
P  0.9217  0.4556  0.0527  4 O 1.54-1.57
P  0.5444  0.0783  0.9473  4 O 1.54-1.57
P  0.0432  0.5787  0.4549  4 O 1.54-1.58
P  0.3402  0.6598  0.0000  4 O 1.55-1.56
P  0.8408  0.1592  0.5000  4 O 1.56
P  0.1599  0.3406  0.7517  4 O 1.53-1.57
P  0.6594  0.8401  0.2483  4 O 1.53-1.57
O  0.9899  0.9342  0.9123  1 P 1.54
O  0.4884  0.4376  0.4100  1 P 1.54
O  0.0658  0.0101  0.0877  1 P 1.54
O  0.5624  0.5116  0.5900  1 P 1.54
O  0.5097  0.0644  0.8361  1 P 1.54
O  0.0087  0.5648  0.3434  1 P 1.54
O  0.4352  0.9913  0.6566  1 P 1.54
O  0.9356  0.4903  0.1639  1 P 1.54
O  0.0547  0.8091  0.7418  1 P 1.56
O  0.5630  0.2993  0.2511  1 P 1.56
O  0.1909  0.9453  0.2582  1 P 1.56
O  0.7007  0.4370  0.7489  1 P 1.56
O  0.4372  0.1894  0.0049  1 P 1.56
O  0.9459  0.6934  0.5118  1 P 1.54
O  0.3066  0.0541  0.4882  1 P 1.54
O  0.8106  0.5628  0.9951  1 P 1.56
O  0.8617  0.2841  0.0982  1 P 1.57
O  0.3654  0.7834  0.5906  1 P 1.58
O  0.7159  0.1383  0.9018  1 P 1.57
O  0.2166  0.6346  0.4094  1 P 1.58
O  0.6356  0.7099  0.6667  1 P 1.55
O  0.1427  0.2192  0.1510  1 P 1.58
O  0.7808  0.8573  0.8490  1 P 1.58
O  0.2901  0.3644  0.3333  1 P 1.55
O  0.9162  0.0283  0.3015  1 P 1.56
O  0.4182  0.5086  0.8111  1 P 1.57
O  0.9717  0.0838  0.6985  1 P 1.56
O  0.4914  0.5818  0.1889  1 P 1.57
O  0.5841  0.9863  0.4379  1 P 1.57
O  0.0837  0.4800  0.9456  1 P 1.57
O  0.5200  0.9163  0.0544  1 P 1.57
O  0.0137  0.4159  0.5621  1 P 1.57
O  0.2724  0.7398  0.8950  1 P 1.55
O  0.7654  0.2370  0.3988  1 P 1.56
O  0.2602  0.7276  0.1050  1 P 1.55
O  0.7630  0.2346  0.6012  1 P 1.56
O  0.2276  0.2633  0.8580  1 P 1.55
O  0.7318  0.7598  0.3486  1 P 1.53
O  0.2402  0.2682  0.6514  1 P 1.53
O  0.7367  0.7724  0.1420  1 P 1.55
O  0.1932  0.5189  0.6899  1 P 1.57
O  0.6955  0.0191  0.1871  1 P 1.57
O  0.9809  0.3045  0.8129  1 P 1.57
O  0.4811  0.8068  0.3101  1 P 1.57
O  0.3014  0.4826  0.0606  1 P 1.56
O  0.8048  0.9824  0.5649  1 P 1.56
O  0.5174  0.6986  0.9394  1 P 1.56
O  0.0176  0.1952  0.4351  1 P 1.56

Results
Calculated total energy   -6.99 eV per atom


Material: Na2Mn2FeP3O12
Method: DFT, PBE+U
State: optimized geometry

Unit cell a=8.8083 b=8.8083 c=6.6091 alpha=73.50 beta=73.50 gamma=92.86
With the nearest neighbours (Å) after each atom.
Fractional coordinates of all 40 atoms:
Na  0.0213  0.9787  0.0000  4 O 2.39-2.64
Na  0.9829  0.0171  0.5000  6 O 2.53-2.79
Na  0.5003  0.4999  0.2509  5 O 2.33-2.60
Na  0.5001  0.4997  0.7491  5 O 2.33-2.60
Mn  0.9336  0.6251  0.3903  6 O 2.06-2.30
Mn  0.3749  0.0664  0.6097  6 O 2.06-2.30
Mn  0.2686  0.7314  0.5000  6 O 2.24-2.26
Mn  0.7286  0.2715  0.0000  6 O 2.21-2.34
Fe  0.0635  0.3810  0.1151  6 O 1.97-2.15
Fe  0.6190  0.9365  0.8849  6 O 1.97-2.15
P  0.6568  0.8734  0.3772  4 O 1.54-1.59
P  0.1266  0.3432  0.6228  4 O 1.54-1.59
P  0.3447  0.1284  0.1225  4 O 1.54-1.58
P  0.8716  0.6553  0.8775  4 O 1.54-1.58
P  0.2867  0.7133  0.0000  4 O 1.55-1.56
P  0.7152  0.2848  0.5000  4 O 1.53-1.59
O  0.6631  0.9992  0.1472  1 P 1.59
O  0.0008  0.3369  0.8528  1 P 1.59
O  0.3176  0.9982  0.3494  1 P 1.55
O  0.0018  0.6824  0.6506  1 P 1.55
O  0.5344  0.7264  0.4258  1 P 1.54
O  0.2736  0.4656  0.5742  1 P 1.54
O  0.4681  0.2738  0.0785  1 P 1.54
O  0.7262  0.5319  0.9215  1 P 1.54
O  0.2611  0.5361  0.0014  1 P 1.56
O  0.4639  0.7389  0.9986  1 P 1.56
O  0.7368  0.4509  0.5245  1 P 1.53
O  0.5491  0.2632  0.4755  1 P 1.53
O  0.6043  0.9487  0.5695  1 P 1.56
O  0.0513  0.3957  0.4305  1 P 1.56
O  0.4062  0.0495  0.9355  1 P 1.57
O  0.9505  0.5938  0.0645  1 P 1.57
O  0.8309  0.8406  0.3534  1 P 1.55
O  0.1594  0.1691  0.6466  1 P 1.55
O  0.1755  0.1811  0.1259  1 P 1.58
O  0.8189  0.8245  0.8741  1 P 1.58
O  0.1787  0.7443  0.2101  1 P 1.55
O  0.2557  0.8213  0.7899  1 P 1.55
O  0.8376  0.2601  0.2871  1 P 1.59
O  0.7399  0.1624  0.7129  1 P 1.59

Results
Calculated total energy   -7.07 eV per atom


no.,calculated volume (Å³/atom),magnetization (μB per formula unit)
1,11.36,18.00
2,12.33,18.00
3,12.03,18.00
4,11.90,18.00
5,11.61,57.00
6,11.67,15.00